1.
A plane-wave DFT calculation with PBE was carried out for a geometry-optimized KCd4Ga5S12 structure.

Cell and atoms, written as POSCAR:
```
KCd4Ga5S12
1.0
-5.1799 -1.0169 -6.7894
7.6900 -3.5109 -1.8865
-3.6917 -4.6393 6.6750
Cd S Ga K
4 12 5 1
Direct
0.7147 0.4016 0.6360
0.4072 0.6415 0.7168
0.6272 0.7087 0.4026
0.4884 0.3382 0.9368
0.9460 0.3008 0.7800
0.3025 0.7848 0.9528
0.6586 0.5858 0.8751
0.5432 0.8865 0.6298
0.3507 0.4328 0.1471
0.8738 0.6304 0.5421
0.6996 0.2181 0.0887
0.2118 0.0668 0.6583
0.7813 0.9404 0.3027
0.4330 0.1353 0.3661
0.1436 0.3693 0.4399
0.0707 0.6738 0.2266
0.0220 0.1842 0.5534
0.1876 0.5555 0.0271
0.3214 0.9304 0.4699
0.5625 0.0233 0.1913
0.9375 0.4711 0.3336
0.9979 0.0018 0.0045
```

* total energy after the MP2020 corrections: -4.173 eV/atom

=====

2.
A plane-wave DFT calculation with PBE was carried out for a geometry-optimized MnCdGa4Se8 structure.

Cell and atoms, written as POSCAR:
```
MnCdGa4Se8
1.0
-3.3705 -4.7421 -0.3794
2.7696 -1.5779 -4.8817
7.2850 -5.6547 5.9607
Ga Cd Se Mn
4 1 8 1
Direct
0.5000 0.0000 0.7489
0.0000 0.0000 0.5000
0.5000 0.5000 0.0000
0.0000 0.5000 0.2511
0.0000 0.0000 0.0000
0.2615 0.7280 0.8623
0.7612 0.7545 0.6311
0.2720 0.2615 0.1377
0.2388 0.2455 0.6311
0.2455 0.7612 0.3689
0.7280 0.7385 0.1377
0.7545 0.2388 0.3689
0.7385 0.2720 0.8623
0.5000 0.5000 0.5000
```

* total energy after the MP2020 corrections: -4.442 eV/atom

=====

3.
A plane-wave DFT calculation with PBE was carried out for a geometry-optimized Cd3Ga2N4 structure.

Cell and atoms, written as POSCAR:
```
Cd3Ga2N4
1.0
6.7435 -0.8220 -0.2104
-5.9203 7.5654 0.0000
-0.2708 -0.2119 5.6173
N Cd Ga
8 6 4
Direct
0.6187 0.2410 0.9602
0.7784 0.6723 0.0117
0.3813 0.6222 0.5398
0.7784 0.1061 0.5117
0.2216 0.3277 0.9883
0.3813 0.7590 0.0398
0.6187 0.3778 0.4602
0.2216 0.8939 0.4883
0.7769 0.0410 0.9255
0.2231 0.9590 0.0745
0.7769 0.7359 0.4255
0.0000 0.3763 0.2500
0.2231 0.2641 0.5745
0.0000 0.6237 0.7500
0.5611 0.1662 0.6113
0.4389 0.8338 0.3887
0.5611 0.3949 0.1113
0.4389 0.6051 0.8887
```

* E above lowest polymorph: 3 meV per atom
* total energy after the MP2020 corrections: -4.597 eV/atom

=====

4.
A plane-wave DFT calculation with PBE was carried out for a geometry-optimized Cd3Ga2N4 structure.

Cell and atoms, written as POSCAR:
```
Cd3Ga2N4
1.0
5.7557 0.0000 0.0000
0.0000 10.8764 0.0000
0.0000 0.0000 8.8462
Cd N Ga
12 16 8
Direct
0.7204 0.3461 0.1201
0.7796 0.8461 0.3799
0.2204 0.3461 0.8799
0.7500 0.0000 0.0504
0.2796 0.6539 0.8799
0.7796 0.6539 0.1201
0.2204 0.1539 0.6201
0.2796 0.8461 0.6201
0.2500 0.5000 0.5504
0.7500 0.5000 0.4496
0.7204 0.1539 0.3799
0.2500 0.0000 0.9496
0.5999 0.1418 0.6162
0.0306 0.6074 0.3267
0.9694 0.1074 0.8267
0.4001 0.8582 0.3838
0.0999 0.1418 0.3838
0.5306 0.6074 0.6733
0.0306 0.8926 0.1733
0.9694 0.3926 0.6733
0.0999 0.3582 0.1162
0.4694 0.1074 0.1733
0.4001 0.6418 0.1162
0.4694 0.3926 0.3267
0.5306 0.8926 0.8267
0.9001 0.8582 0.6162
0.5999 0.3582 0.8838
0.9001 0.6418 0.8838
0.7687 0.2500 0.7500
0.2313 0.7500 0.2500
0.2500 0.5000 0.2071
0.7500 0.0000 0.7071
0.7500 0.5000 0.7929
0.2500 0.0000 0.2929
0.2687 0.2500 0.2500
0.7313 0.7500 0.7500
```

* E above lowest polymorph: 0 meV per atom
* total energy after the MP2020 corrections: -4.600 eV/atom

=====

5.
A plane-wave DFT calculation with PBE was carried out for a geometry-optimized NdCdGa structure.

Cell and atoms, written as POSCAR:
```
NdCdGa
1.0
-0.6490 7.2036 1.9396
-3.0757 -5.3211 4.2779
3.8053 -0.2950 2.3689
Nd Cd Ga
3 3 3
Direct
0.0000 0.5790 0.5000
0.5790 0.0000 0.5000
0.4210 0.4210 0.5000
0.0000 0.2466 0.0000
0.2466 0.0000 0.0000
0.7534 0.7534 0.0000
0.6667 0.3333 0.0000
0.3333 0.6667 0.0000
0.0000 0.0000 0.5000
```

=====

6.
A plane-wave DFT calculation with PBE was carried out for a geometry-optimized PrCdGa structure.

Cell and atoms, written as POSCAR:
```
PrCdGa
1.0
3.7657 -6.5224 0.0000
3.7657 6.5224 0.0000
0.0000 0.0000 4.5103
Ga Pr Cd
3 3 3
Direct
0.3333 0.6667 0.0000
0.6667 0.3333 0.0000
0.0000 0.0000 0.5000
0.0000 0.5798 0.5000
0.5798 0.0000 0.5000
0.4202 0.4202 0.5000
0.0000 0.2465 0.0000
0.7535 0.7535 0.0000
0.2465 0.0000 0.0000
```

=====

7.
A plane-wave DFT calculation with PBE was carried out for a geometry-optimized CdGa2Se2S2 structure.

Cell and atoms, written as POSCAR:
```
CdGa2Se2S2
1.0
5.8380 0.0855 0.0000
0.0852 5.7342 0.0000
2.9616 2.9098 5.3176
Cd S Se Ga
1 2 2 2
Direct
0.0037 0.0037 0.9926
0.4143 0.8754 0.7301
0.8556 0.3945 0.7301
0.1392 0.1210 0.2741
0.5867 0.6050 0.2741
0.7458 0.2458 0.5085
0.5047 0.5047 0.9906
```

* total energy after the MP2020 corrections: -3.970 eV/atom

=====

8.
A plane-wave DFT calculation with PBE was carried out for a geometry-optimized ZnCd4Ga10S20 structure.

Cell and atoms, written as POSCAR:
```
ZnCd4Ga10S20
1.0
5.5603 0.0000 0.0000
-2.7802 5.8973 0.0000
0.0009 -1.3096 24.5187
Cd S Ga Zn
4 20 10 1
Direct
0.6000 0.2000 0.4000
0.8000 0.6000 0.2000
0.0001 0.0003 0.9998
0.3997 0.7997 0.6001
0.3014 0.0925 0.8251
0.9975 0.5036 0.8770
0.7862 0.1117 0.0809
0.6764 0.8905 0.9184
0.1039 0.6729 0.0262
0.8325 0.1257 0.5739
0.5061 0.4728 0.6270
0.7044 0.8735 0.4266
0.2326 0.9256 0.1738
0.6070 0.7088 0.7746
0.3860 0.3116 0.4809
0.4353 0.3267 0.9736
0.4770 0.4892 0.1187
0.1857 0.9119 0.6812
0.0326 0.5257 0.3738
0.5861 0.7116 0.2809
0.8909 0.2939 0.7235
0.9044 0.2735 0.2266
0.0772 0.6892 0.5187
0.2770 0.0892 0.3187
0.8000 0.5978 0.7014
0.9000 0.8000 0.3500
0.2992 0.5990 0.9491
0.5999 0.2024 0.8987
0.7001 0.4001 0.5500
0.4000 0.7999 0.0999
0.0001 0.0000 0.5000
0.2000 0.4000 0.3000
0.1000 0.2000 0.1500
0.5006 0.0008 0.7509
0.2003 0.3999 0.8000
```

* total energy after the MP2020 corrections: -4.349 eV/atom

=====

9.
A plane-wave DFT calculation with PBE was carried out for a geometry-optimized ZnCdGa4S8 structure.

Cell and atoms, written as POSCAR:
```
ZnCdGa4S8
1.0
5.5105 0.0000 0.0000
0.0000 5.5105 0.0000
0.0000 0.0000 10.4121
S Ga Zn Cd
8 4 1 1
Direct
0.2449 0.2437 0.6275
0.2688 0.2671 0.1376
0.2437 0.7551 0.3725
0.7329 0.2688 0.8624
0.7563 0.2449 0.3725
0.2671 0.7312 0.8624
0.7312 0.7329 0.1376
0.7551 0.7563 0.6275
0.0000 0.5000 0.2536
0.5000 0.0000 0.7464
0.0000 0.0000 0.5000
0.5000 0.5000 0.0000
0.5000 0.5000 0.5000
0.0000 0.0000 0.0000
```

* total energy after the MP2020 corrections: -4.374 eV/atom

=====

10.
A plane-wave DFT calculation with PBE was carried out for a geometry-optimized Sc2CdGa structure.

Cell and atoms, written as POSCAR:
```
Sc2CdGa
1.0
0.0000 3.4504 3.4504
3.4504 0.0000 3.4504
3.4504 3.4504 0.0000
Ga Sc Cd
1 2 1
Direct
0.0000 0.0000 0.0000
0.2500 0.2500 0.2500
0.7500 0.7500 0.7500
0.5000 0.5000 0.5000
```

=====

11.
A plane-wave DFT calculation with PBE was carried out for a geometry-optimized CdGa2Se4 structure.

Cell and atoms, written as POSCAR:
```
CdGa2Se4
1.0
-2.7936 2.7936 5.3234
2.7936 -2.7936 5.3234
2.7936 2.7936 -5.3234
Se Ga Cd
4 2 1
Direct
0.2311 0.2311 0.0000
0.5191 0.0191 0.5000
0.9809 0.4809 0.5000
0.7689 0.7689 0.0000
0.7500 0.2500 0.5000
0.0000 0.0000 0.0000
0.2500 0.7500 0.5000
```

* total energy after the MP2020 corrections: -3.576 eV/atom

=====

12.
A plane-wave DFT calculation with PBE was carried out for a geometry-optimized CdGa2Se4 structure.

Cell and atoms, written as POSCAR:
```
CdGa2Se4
1.0
4.6255 -0.0858 5.1052
3.0535 6.1746 -0.1269
-6.7063 -1.5728 0.1330
Se Ga Cd
4 2 1
Direct
0.8653 0.4000 0.9894
0.1241 0.1347 0.5347
0.4106 0.8759 0.0106
0.6000 0.5894 0.4653
0.5000 0.5000 0.0000
0.2500 0.7500 0.5000
0.0000 0.0000 0.0000
```

* largest piezoelectric modulus: 0.1 C/m²
* total energy after the MP2020 corrections: -3.885 eV/atom

=====

Number 1: calculated formation energy -1.01 eV per atom, V 24.64 Å³/atom, total DFT energy (no corrections) -3.898 eV per atom. Number 2: calculated formation energy -0.86 eV per atom, V 26.66 Å³/atom, total DFT energy (no corrections) -4.172 eV per atom. Number 3: calculated formation energy 0.09 eV per atom, V 14.36 Å³/atom, total DFT energy (no corrections) -4.436 eV per atom. Number 4: calculated formation energy 0.09 eV per atom, V 15.38 Å³/atom, total DFT energy (no corrections) -4.440 eV per atom. Number 5: calculated formation energy -0.52 eV per atom, V 24.24 Å³/atom, total DFT energy (no corrections) -3.427 eV per atom. Number 6: calculated formation energy -0.52 eV per atom, V 24.62 Å³/atom, total DFT energy (no corrections) -3.426 eV per atom. Number 7: calculated formation energy -0.79 eV per atom, V 25.43 Å³/atom, total DFT energy (no corrections) -3.827 eV per atom. Number 8: calculated formation energy -0.98 eV per atom, V 22.97 Å³/atom, total DFT energy (no corrections) -4.061 eV per atom. Number 9: calculated formation energy -0.99 eV per atom, V 22.58 Å³/atom, total DFT energy (no corrections) -4.086 eV per atom. Number 10: calculated formation energy -0.44 eV per atom, V 20.54 Å³/atom, total DFT energy (no corrections) -4.594 eV per atom. Number 11: calculated formation energy -0.58 eV per atom, V 23.74 Å³/atom, total DFT energy (no corrections) -3.307 eV per atom. Number 12: calculated formation energy -0.89 eV per atom, V 27.10 Å³/atom, total DFT energy (no corrections) -3.616 eV per atom.